This record from the Materials Project database describes a geometry-optimized Zr5Si3N structure. The functional is meta-GGA r2SCAN.

- volume (A^3/atom) = 16.94
- total magnetic moment (μB per cell) = 0.0
- crystal system = hexagonal
- energy of formation from the pure elements (eV/atom) = -1.181

abc: 7.9207 7.9207 5.6137
angles: 90.00 90.00 120.00
Space group P6_3/mcm (No. 193)
Inequivalent atoms, fractional coordinates:
Zr1 0.0000 0.2336 0.2500 x6
Zr2 0.3333 0.6667 0.0000 x4
Si1 0.0000 0.4054 0.7500 x6
N1 0.0000 0.0000 0.0000 x2